(1)
Material: LiLuO2
Method: DFT, PBE
State: relaxed

Results
- corrected total energy (MP2020 scheme) (eV per cell) = -29.6
- E_form (eV/atom) = -3.318
- space-group type = No. 166

Unit cell a=5.376 b=5.376 c=5.376 alpha=35.46 beta=35.46 gamma=35.46
Fractional coordinates of all 4 atoms:
O1 0.756 0.756 0.756
O2 0.244 0.244 0.244
Lu1 0.500 0.500 0.500
Li1 0.000 0.000 0.000

---

(2)
Material: LiLuO2
Method: DFT, PBE
State: relaxed

Results
- corrected total energy (MP2020 scheme) (eV per cell) = -119.4
- E_form (eV/atom) = -3.379
- space-group type = No. 14

Unit cell a=6.126 b=5.993 c=6.042 alpha=61.83 beta=90.00 gamma=90.00
Fractional coordinates of all 16 atoms:
O1 0.112 0.458 0.234
O2 0.843 0.999 0.178
O3 0.612 0.542 0.266
O4 0.343 0.001 0.322
O5 0.388 0.458 0.734
O6 0.157 0.001 0.822
O7 0.888 0.542 0.766
O8 0.657 0.999 0.678
Li1 0.647 0.278 0.954
Li2 0.353 0.722 0.046
Li3 0.147 0.722 0.546
Li4 0.853 0.278 0.454
Lu1 0.871 0.761 0.986
Lu2 0.371 0.239 0.514
Lu3 0.129 0.239 0.014
Lu4 0.629 0.761 0.486

---

(3)
Material: LiLuO3
Method: DFT, PBE
State: relaxed

Results
- corrected total energy (MP2020 scheme) (eV per cell) = -32.2
- E_form (eV/atom) = -2.193
- space-group type = No. 221

Unit cell a=3.630 b=3.630 c=3.630 alpha=90.00 beta=90.00 gamma=90.00
Fractional coordinates of all 5 atoms:
O1 0.000 0.500 0.500
O2 0.500 0.500 0.000
O3 0.500 0.000 0.500
Lu1 0.000 0.000 0.000
Li1 0.500 0.500 0.500

---

(4)
Material: LiLuS2O8
Method: DFT, PBE
State: relaxed

Results
- corrected total energy (MP2020 scheme) (eV per cell) = -165.9
- E_form (eV/atom) = -2.391
- space-group type = No. 118

Unit cell a=7.415 b=7.411 c=5.906 alpha=90.00 beta=90.00 gamma=90.00
Fractional coordinates of all 24 atoms:
S1 0.226 0.775 0.509
S2 0.774 0.225 0.509
S3 0.726 0.725 0.009
S4 0.274 0.275 0.009
O1 0.792 0.413 0.593
O2 0.407 0.319 0.823
O3 0.708 0.913 0.093
O4 0.413 0.792 0.425
O5 0.913 0.708 0.925
O6 0.093 0.819 0.323
O7 0.818 0.092 0.695
O8 0.587 0.208 0.425
O9 0.182 0.908 0.695
O10 0.087 0.292 0.925
O11 0.292 0.087 0.093
O12 0.318 0.408 0.195
O13 0.208 0.587 0.593
O14 0.907 0.181 0.323
O15 0.593 0.681 0.823
O16 0.682 0.592 0.195
Lu1 0.000 0.000 0.009
Lu2 0.500 0.500 0.509
Li1 0.500 0.500 0.009
Li2 0.000 0.000 0.509

---

(5)
Material: LiLu2Pd
Method: DFT, PBE
State: relaxed

Results
- E_form (eV/atom) = -0.472
- space-group type = No. 225

Unit cell a=4.922 b=4.922 c=4.922 alpha=60.00 beta=60.00 gamma=60.00
Fractional coordinates of all 4 atoms:
Li1 0.500 0.500 0.500
Lu1 0.250 0.250 0.250
Lu2 0.750 0.750 0.750
Pd1 0.000 0.000 0.000

---

(6)
Material: LiLuPt2
Method: DFT, PBE
State: relaxed

Results
- E_form (eV/atom) = -0.975
- space-group type = No. 225

Unit cell a=4.609 b=4.609 c=4.609 alpha=60.00 beta=60.00 gamma=60.00
Fractional coordinates of all 4 atoms:
Pt1 0.750 0.750 0.750
Pt2 0.250 0.250 0.250
Li1 0.500 0.500 0.500
Lu1 0.000 0.000 0.000

---

(7)
Material: LiLu2Pt
Method: DFT, PBE
State: relaxed

Results
- E_form (eV/atom) = -0.743
- space-group type = No. 225

Unit cell a=4.862 b=4.862 c=4.862 alpha=60.00 beta=60.00 gamma=60.00
Fractional coordinates of all 4 atoms:
Lu1 0.250 0.250 0.250
Lu2 0.750 0.750 0.750
Pt1 0.000 0.000 0.000
Li1 0.500 0.500 0.500

---

(8)
Material: LiLuRh2
Method: DFT, PBE
State: relaxed

Results
- E_form (eV/atom) = -0.591
- space-group type = No. 225

Unit cell a=4.484 b=4.484 c=4.484 alpha=60.00 beta=60.00 gamma=60.00
Fractional coordinates of all 4 atoms:
Li1 0.000 0.000 0.000
Lu1 0.500 0.500 0.500
Rh1 0.250 0.250 0.250
Rh2 0.750 0.750 0.750

---

(9)
Material: Li2LuUS4
Method: DFT, PBE
State: relaxed

Results
- corrected total energy (MP2020 scheme) (eV per cell) = -50.8
- E_form (eV/atom) = -1.823
- space-group type = No. 119

Unit cell a=6.685 b=6.685 c=6.685 alpha=132.44 beta=132.44 gamma=69.54
Fractional coordinates of all 8 atoms:
S1 0.756 0.756 0.000
S2 0.001 0.501 0.500
S3 0.499 0.999 0.500
S4 0.244 0.244 0.000
Li1 0.250 0.750 0.500
Li2 0.500 0.500 0.000
U1 0.750 0.250 0.500
Lu1 0.000 0.000 0.000

---

(10)
Material: LiLuTl2
Method: DFT, PBE
State: relaxed

Results
- E_form (eV/atom) = -0.284
- space-group type = No. 225

Unit cell a=5.135 b=5.135 c=5.135 alpha=60.00 beta=60.00 gamma=60.00
Fractional coordinates of all 4 atoms:
Li1 0.000 0.000 0.000
Tl1 0.750 0.750 0.750
Tl2 0.250 0.250 0.250
Lu1 0.500 0.500 0.500

---

(11)
Material: LiMg
Method: DFT, PBE
State: relaxed

Results
- E_form (eV/atom) = -0.016
- space-group type = No. 156

Unit cell a=3.151 b=3.151 c=14.909 alpha=90.00 beta=90.00 gamma=120.00
Fractional coordinates of all 6 atoms:
Mg1 0.000 0.000 0.331
Mg2 0.333 0.667 0.502
Mg3 0.000 0.000 0.000
Li1 0.333 0.667 0.832
Li2 0.000 0.000 0.667
Li3 0.333 0.667 0.167

---

(12)
Material: LiMg
Method: DFT, PBE
State: relaxed

Results
- E_form (eV/atom) = -0.030
- space-group type = No. 187

Unit cell a=3.092 b=3.092 c=5.104 alpha=90.00 beta=90.00 gamma=120.00
Fractional coordinates of all 2 atoms:
Mg1 0.667 0.333 0.500
Li1 0.000 0.000 0.000

---

(13)
Material: LiMg
Method: DFT, PBE
State: relaxed

Results
- E_form (eV/atom) = -0.052
- space-group type = No. 74

Unit cell a=5.638 b=5.638 c=5.638 alpha=143.68 beta=128.99 gamma=64.22
Fractional coordinates of all 4 atoms:
Li1 0.617 0.367 0.250
Li2 0.383 0.633 0.750
Mg1 0.134 0.884 0.250
Mg2 0.866 0.116 0.750

---

(14)
Material: LiMg7
Method: DFT, PBE
State: relaxed

Results
- E_form (eV/atom) = -0.013
- space-group type = No. 187

Unit cell a=6.332 b=6.332 c=5.204 alpha=90.00 beta=90.00 gamma=120.00
Fractional coordinates of all 8 atoms:
Mg1 0.833 0.665 0.000
Mg2 0.333 0.667 0.000
Mg3 0.833 0.167 0.000
Mg4 0.335 0.167 0.000
Mg5 0.167 0.833 0.500
Mg6 0.167 0.333 0.500
Mg7 0.667 0.833 0.500
Li1 0.667 0.333 0.500

---

(15)
Material: LiMg
Method: DFT, PBE
State: relaxed

Results
- E_form (eV/atom) = -0.007
- space-group type = No. 187

Unit cell a=3.165 b=3.165 c=15.029 alpha=90.00 beta=90.00 gamma=120.00
Fractional coordinates of all 6 atoms:
Mg1 0.667 0.333 0.831
Mg2 0.000 0.000 0.000
Mg3 0.667 0.333 0.169
Li1 0.000 0.000 0.334
Li2 0.667 0.333 0.500
Li3 0.000 0.000 0.666

---

(16)
Material: LiMg
Method: DFT, PBE
State: relaxed

Results
- E_form (eV/atom) = -0.032
- space-group type = No. 5

Unit cell a=5.316 b=5.316 c=5.849 alpha=64.55 beta=64.55 gamma=61.40
Fractional coordinates of all 6 atoms:
Mg1 0.333 0.667 0.000
Mg2 0.834 0.834 0.501
Mg3 0.166 0.166 0.499
Li1 0.666 0.002 0.999
Li2 0.502 0.498 0.500
Li3 0.998 0.334 0.001

---

(17)
Material: LiMg
Method: DFT, PBE
State: relaxed

Results
- E_form (eV/atom) = -0.031
- space-group type = No. 38

Unit cell a=5.312 b=5.312 c=5.079 alpha=90.00 beta=90.00 gamma=119.35
Fractional coordinates of all 6 atoms:
Mg1 0.000 0.664 0.000
Mg2 0.664 0.000 0.000
Mg3 0.003 0.003 0.500
Li1 0.334 0.334 0.000
Li2 0.666 0.334 0.500
Li3 0.334 0.666 0.500

---

(18)
Material: Li3Mg5
Method: DFT, PBE
State: relaxed

Results
- E_form (eV/atom) = -0.032
- space-group type = No. 139

Unit cell a=6.217 b=6.217 c=6.217 alpha=119.63 beta=119.63 gamma=90.64
Fractional coordinates of all 8 atoms:
Li1 0.000 0.500 0.500
Li2 0.500 0.000 0.500
Li3 0.500 0.500 0.000
Mg1 0.500 0.000 0.000
Mg2 0.000 0.000 0.000
Mg3 0.000 0.000 0.500
Mg4 0.500 0.500 0.500
Mg5 0.000 0.500 0.000

---

(19)
Material: LiMg
Method: DFT, PBE
State: relaxed

Results
- E_form (eV/atom) = -0.059
- space-group type = No. 123

Unit cell a=3.378 b=3.378 c=3.553 alpha=90.00 beta=90.00 gamma=90.00
Fractional coordinates of all 2 atoms:
Li1 0.000 0.000 0.000
Mg1 0.500 0.500 0.500

---

(20)
Material: LiMg
Method: DFT, PBE
State: relaxed

Results
- E_form (eV/atom) = -0.049
- space-group type = No. 38

Unit cell a=7.617 b=7.617 c=4.957 alpha=90.00 beta=90.00 gamma=154.90
Fractional coordinates of all 6 atoms:
Mg1 0.029 0.971 0.000
Mg2 0.197 0.803 0.500
Mg3 0.354 0.646 0.000
Li1 0.528 0.472 0.500
Li2 0.691 0.309 0.000
Li3 0.867 0.133 0.500

---

(21)
Material: LiMg
Method: DFT, PBE
State: relaxed

Results
- E_form (eV/atom) = -0.039
- space-group type = No. 12

Unit cell a=5.903 b=5.903 c=5.355 alpha=63.84 beta=63.84 gamma=30.33
Fractional coordinates of all 4 atoms:
Mg1 0.124 0.124 0.207
Mg2 0.876 0.876 0.793
Li1 0.625 0.625 0.708
Li2 0.375 0.375 0.292

---

(22)
Material: LiMg
Method: DFT, PBE
State: relaxed

Results
- E_form (eV/atom) = -0.032
- space-group type = No. 65

Unit cell a=3.011 b=3.011 c=4.902 alpha=90.00 beta=90.00 gamma=109.84
Fractional coordinates of all 2 atoms:
Mg1 0.500 0.500 0.500
Li1 0.000 0.000 0.000

---

(23)
Material: LiMg
Method: DFT, PBE
State: relaxed

Results
- E_form (eV/atom) = -0.032
- space-group type = No. 12

Unit cell a=5.686 b=5.686 c=7.190 alpha=71.90 beta=71.90 gamma=34.05
Fractional coordinates of all 6 atoms:
Mg1 0.822 0.822 0.317
Mg2 0.500 0.500 0.500
Mg3 0.178 0.178 0.683
Li1 0.157 0.157 0.151
Li2 0.843 0.843 0.849
Li3 0.500 0.500 0.000

---

(24)
Material: LiMg
Method: DFT, PBE
State: relaxed

Results
- E_form (eV/atom) = -0.040
- space-group type = No. 38

Unit cell a=8.159 b=8.159 c=5.065 alpha=90.00 beta=90.00 gamma=157.98
Fractional coordinates of all 6 atoms:
Li1 0.445 0.555 0.500
Li2 0.666 0.334 0.000
Li3 0.000 0.000 0.000
Mg1 0.110 0.890 0.500
Mg2 0.334 0.666 0.000
Mg3 0.779 0.221 0.500

---

(25)
Material: Li3Mg
Method: DFT, PBE
State: relaxed

Results
- E_form (eV/atom) = -0.032
- space-group type = No. 139

Unit cell a=5.404 b=5.404 c=5.404 alpha=133.81 beta=133.81 gamma=67.38
Fractional coordinates of all 4 atoms:
Li1 0.750 0.250 0.500
Li2 0.250 0.750 0.500
Li3 0.500 0.500 0.000
Mg1 0.000 0.000 0.000

---

(26)
Material: Li3Mg
Method: DFT, PBE
State: relaxed

Results
- E_form (eV/atom) = -0.027
- space-group type = No. 225

Unit cell a=4.844 b=4.844 c=4.844 alpha=60.00 beta=60.00 gamma=60.00
Fractional coordinates of all 4 atoms:
Li1 0.250 0.250 0.250
Li2 0.750 0.750 0.750
Li3 0.500 0.500 0.500
Mg1 0.000 0.000 0.000

---

(27)
Material: Li3Mg
Method: DFT, PBE
State: relaxed

Results
- E_form (eV/atom) = -0.034
- space-group type = No. 44

Unit cell a=5.841 b=5.841 c=5.841 alpha=149.38 beta=125.80 gamma=63.54
Fractional coordinates of all 4 atoms:
Mg1 0.335 0.000 0.335
Li1 0.249 0.250 0.999
Li2 0.834 0.500 0.334
Li3 0.749 0.750 0.999